Li3Co2Si2O8 after structural relaxation. Source: the Materials Project database, functional PBE with a Hubbard U.

a = 6.612 Å, b = 5.095 Å, c = 10.602 Å
α = 90.00°, β = 91.22°, γ = 90.00°
Atoms (fractional coordinates):
Li 0.000 0.062 0.000
Li 0.000 0.938 0.500
Li 0.229 0.433 0.586
Li 0.229 0.567 0.086
Li 0.232 0.067 0.759
Li 0.232 0.933 0.259
Co 0.714 0.052 0.771
Co 0.714 0.948 0.271
Co 0.725 0.444 0.572
Co 0.725 0.556 0.072
Si 0.465 0.072 0.013
Si 0.465 0.928 0.513
Si 0.981 0.441 0.328
Si 0.981 0.559 0.828
O 0.178 0.447 0.763
O 0.178 0.553 0.263
O 0.260 0.039 0.573
O 0.260 0.961 0.073
O 0.479 0.000 0.363
O 0.479 0.000 0.863
O 0.484 0.396 0.036
O 0.484 0.604 0.536
O 0.680 0.052 0.583
O 0.680 0.948 0.083
O 0.774 0.434 0.754
O 0.774 0.566 0.254
O 0.961 0.115 0.328
O 0.961 0.464 0.981
O 0.961 0.536 0.481
O 0.961 0.885 0.828

Relative energy among the computed polymorphs   56 meV/atom

RbFe3O5 after structural relaxation. Source: the Materials Project database, functional PBE with a Hubbard U.

a = 9.579 Å, b = 3.113 Å, c = 15.533 Å
α = 90.00°, β = 90.12°, γ = 90.00°
Atoms (fractional coordinates):
Rb 0.000 0.000 0.000
Rb 0.058 0.500 0.756
Rb 0.500 0.000 0.257
Rb 0.560 0.500 0.498
Fe 0.138 0.500 0.213
Fe 0.172 0.000 0.388
Fe 0.207 0.500 0.558
Fe 0.351 0.000 0.058
Fe 0.384 0.500 0.888
Fe 0.420 0.000 0.714
Fe 0.639 0.500 0.042
Fe 0.674 0.000 0.867
Fe 0.708 0.500 0.698
Fe 0.849 0.000 0.201
Fe 0.892 0.500 0.367
Fe 0.918 0.000 0.539
O 0.001 0.000 0.304
O 0.047 0.500 0.453
O 0.092 0.000 0.605
O 0.222 0.000 0.158
O 0.250 0.500 0.322
O 0.260 0.500 0.989
O 0.297 0.000 0.488
O 0.305 0.000 0.823
O 0.335 0.500 0.658
O 0.465 0.500 0.106
O 0.507 0.000 0.955
O 0.551 0.500 0.801
O 0.594 0.000 0.649
O 0.722 0.000 0.099
O 0.754 0.500 0.933
O 0.763 0.500 0.271
O 0.799 0.000 0.767
O 0.810 0.000 0.429
O 0.835 0.500 0.597
O 0.964 0.500 0.151

| no. | formation enthalpy at 0 K (eV per atom) | VASP energy (eV/atom) |
| --- | --- | --- |
| 1 | -2.35 | -6.460 |
| 2 | -1.66 | -6.210 |